1.
## Cs2Te (PBE)

Data for a geometry-optimized Cs2Te structure. Values from VASP.

The structure in Quantum ESPRESSO input format:
```
&SYSTEM
  ibrav = 0, nat = 12, ntyp = 2
/
ATOMIC_SPECIES
Cs 132.91 Cs.upf
Te 127.60 Te.upf
ATOMIC_POSITIONS crystal
Cs 0.0229 0.2500 0.1747
Cs 0.1504 0.2500 0.5731
Cs 0.3496 0.7500 0.0731
Cs 0.4771 0.7500 0.6747
Cs 0.5229 0.2500 0.3253
Cs 0.6504 0.2500 0.9269
Cs 0.8496 0.7500 0.4269
Cs 0.9771 0.7500 0.8253
Te 0.2466 0.2500 0.8882
Te 0.2534 0.7500 0.3882
Te 0.7466 0.2500 0.6118
Te 0.7534 0.7500 0.1118
CELL_PARAMETERS angstrom
9.5270 0.0000 0.0000
0.0000 5.9165 0.0000
0.0000 0.0000 11.6213
```

Values from the calculation:
- Space group: No. 62
- Energy with MP2020 corrections: -0.2041 Ry/atom

=====

2.
## SiO2 (PBE)

Data for a geometry-optimized SiO2 structure. Values from VASP.

The structure in Quantum ESPRESSO input format:
```
&SYSTEM
  ibrav = 0, nat = 12, ntyp = 2
/
ATOMIC_SPECIES
Si 28.09 Si.upf
O 16.00 O.upf
ATOMIC_POSITIONS crystal
Si 0.0214 0.3471 0.3687
Si 0.3471 0.0214 0.6313
Si 0.6529 0.9786 0.1313
Si 0.9786 0.6529 0.8687
O 0.0998 0.5139 0.1129
O 0.1507 0.8493 0.7500
O 0.2409 0.2409 0.5000
O 0.4861 0.9002 0.3871
O 0.5139 0.0998 0.8871
O 0.7591 0.7591 0.0000
O 0.8493 0.1507 0.2500
O 0.9002 0.4861 0.6129
CELL_PARAMETERS angstrom
4.1112 -4.3839 0.0000
4.1112 4.3839 0.0000
0.0000 0.0000 4.7675
```

Values from the calculation:
- Maximum piezoelectric response: 0.14 C/m2
- Space group: No. 20
- Energy with MP2020 corrections: -0.6140 Ry/atom

=====

3.
## Cs2Zn3S4 (PBE)

Data for a geometry-optimized Cs2Zn3S4 structure. Values from VASP.

The structure in Quantum ESPRESSO input format:
```
&SYSTEM
  ibrav = 0, nat = 18, ntyp = 3
/
ATOMIC_SPECIES
Cs 132.91 Cs.upf
Zn 65.41 Zn.upf
S 32.06 S.upf
ATOMIC_POSITIONS crystal
Cs 0.1209 0.2343 0.3552
Cs 0.3791 0.7343 0.1134
Cs 0.6209 0.2657 0.8866
Cs 0.8791 0.7657 0.6448
Zn 0.0245 0.2500 0.7745
Zn 0.2500 0.7500 0.5000
Zn 0.4755 0.2500 0.2255
Zn 0.5245 0.7500 0.7745
Zn 0.7500 0.2500 0.5000
Zn 0.9755 0.7500 0.2255
S 0.0237 0.4395 0.1471
S 0.2077 0.0605 0.5842
S 0.2923 0.8765 0.8529
S 0.4763 0.6235 0.4158
S 0.5237 0.3765 0.5842
S 0.7077 0.1235 0.1471
S 0.7923 0.9395 0.4158
S 0.9763 0.5605 0.8529
CELL_PARAMETERS angstrom
-2.9606 5.7574 7.0625
2.9606 -5.7574 7.0625
2.9606 5.7574 -7.0625
```

Values from the calculation:
- Space group: No. 72
- Energy with MP2020 corrections: -0.2680 Ry/atom

=====

4.
## NaAl3Si3H2O12 (PBE)

Data for a geometry-optimized NaAl3Si3H2O12 structure. Values from VASP.

The structure in Quantum ESPRESSO input format:
```
&SYSTEM
  ibrav = 0, nat = 84, ntyp = 5
/
ATOMIC_SPECIES
Na 22.99 Na.upf
Al 26.98 Al.upf
Si 28.09 Si.upf
H 1.01 H.upf
O 16.00 O.upf
ATOMIC_POSITIONS crystal
Na 0.0000 0.0835 0.2500
Na 0.0000 0.9165 0.7500
Na 0.5000 0.3895 0.7500
Na 0.5000 0.6105 0.2500
Al 0.0474 0.2404 0.8574
Al 0.0474 0.7596 0.3574
Al 0.2470 0.0844 0.9992
Al 0.2470 0.9156 0.4992
Al 0.2511 0.4142 0.9987
Al 0.2511 0.5858 0.4987
Al 0.7489 0.4142 0.5013
Al 0.7489 0.5858 0.0013
Al 0.7530 0.0844 0.5008
Al 0.7530 0.9156 0.0008
Al 0.9526 0.2404 0.6426
Al 0.9526 0.7596 0.1426
Si 0.0536 0.4286 0.3579
Si 0.0536 0.5714 0.8579
Si 0.4371 0.2558 0.1411
Si 0.4371 0.7442 0.6411
Si 0.4696 0.0705 0.6426
Si 0.4696 0.9295 0.1426
Si 0.5304 0.0705 0.8574
Si 0.5304 0.9295 0.3574
Si 0.5629 0.2558 0.3589
Si 0.5629 0.7442 0.8589
Si 0.9464 0.4286 0.1421
Si 0.9464 0.5714 0.6421
H 0.1461 0.1600 0.4441
H 0.1461 0.8400 0.9441
H 0.3673 0.3524 0.5702
H 0.3673 0.6476 0.0702
H 0.6327 0.3524 0.9298
H 0.6327 0.6476 0.4298
H 0.8539 0.1600 0.0559
H 0.8539 0.8400 0.5559
O 0.0439 0.4419 0.4425
O 0.0439 0.5581 0.9425
O 0.0522 0.0675 0.4492
O 0.0522 0.9325 0.9492
O 0.1234 0.2495 0.9473
O 0.1234 0.7505 0.4473
O 0.1285 0.4156 0.8227
O 0.1285 0.5844 0.3227
O 0.2383 0.1011 0.8227
O 0.2383 0.8989 0.3227
O 0.2386 0.3746 0.1748
O 0.2386 0.6254 0.6748
O 0.2589 0.2978 0.3349
O 0.2589 0.7022 0.8349
O 0.2825 0.2056 0.6650
O 0.2825 0.7944 0.1650
O 0.3735 0.0919 0.1742
O 0.3735 0.9081 0.6742
O 0.3894 0.2514 0.0571
O 0.3894 0.7486 0.5571
O 0.4481 0.4398 0.5514
O 0.4481 0.5602 0.0514
O 0.4598 0.0524 0.5574
O 0.4598 0.9476 0.0574
O 0.5402 0.0524 0.9426
O 0.5402 0.9476 0.4426
O 0.5519 0.4398 0.9486
O 0.5519 0.5602 0.4486
O 0.6106 0.2514 0.4429
O 0.6106 0.7486 0.9429
O 0.6265 0.0919 0.3258
O 0.6265 0.9081 0.8258
O 0.7175 0.2056 0.8350
O 0.7175 0.7944 0.3350
O 0.7411 0.2978 0.1651
O 0.7411 0.7022 0.6651
O 0.7614 0.3746 0.3252
O 0.7614 0.6254 0.8252
O 0.7617 0.1011 0.6773
O 0.7617 0.8989 0.1773
O 0.8715 0.4156 0.6773
O 0.8715 0.5844 0.1773
O 0.8766 0.2495 0.5527
O 0.8766 0.7505 0.0527
O 0.9478 0.0675 0.0508
O 0.9478 0.9325 0.5508
O 0.9561 0.4419 0.0575
O 0.9561 0.5581 0.5575
CELL_PARAMETERS angstrom
5.1685 0.0000 0.0000
0.0000 8.9648 0.0000
-1.4298 0.0000 19.3169
```

Values from the calculation:
- Space group: No. 13
- Energy above the lowest structure with this stoichiometry: 0.000 eV per atom
- Energy with MP2020 corrections: -0.5519 Ry/atom
- Magnetic moment: 0.00 μB per cell

=====

Which of these has the lowest energy with MP2020 corrections?
SiO2